1.
# PBE CaSb2O6, optimized geometry
data_CaSb2O6
_space_group_name_H-M_alt 'P 1'
_space_group_IT_number 1
_space_group_name_Hall 'P 1'
_cell_length_a 7.778
_cell_length_b 5.555
_cell_length_c 5.435
_cell_angle_alpha 90.00
_cell_angle_beta 90.00
_cell_angle_gamma 90.00
loop_
_atom_site_label
_atom_site_type_symbol
_atom_site_fract_x
_atom_site_fract_y
_atom_site_fract_z
Ca1 Ca 0.000 0.191 0.000
Ca2 Ca 0.500 0.809 0.500
Sb1 Sb 0.250 0.258 0.488
Sb2 Sb 0.250 0.742 0.988
Sb3 Sb 0.750 0.258 0.488
Sb4 Sb 0.750 0.742 0.988
O1 O 0.000 0.269 0.580
O2 O 0.000 0.775 0.906
O3 O 0.202 0.447 0.182
O4 O 0.210 0.961 0.279
O5 O 0.290 0.039 0.779
O6 O 0.298 0.553 0.682
O7 O 0.500 0.225 0.406
O8 O 0.500 0.731 0.080
O9 O 0.702 0.553 0.682
O10 O 0.710 0.039 0.779
O11 O 0.790 0.961 0.279
O12 O 0.798 0.447 0.182
# formation energy = -19.75 eV/f.u.
# space-group type = No. 31
# total moment = 0.0 μB/f.u.


2.
# PBE CaSb4O8, optimized geometry
data_CaSb4O8
_space_group_name_H-M_alt 'P 1'
_space_group_IT_number 1
_space_group_name_Hall 'P 1'
_cell_length_a 8.298
_cell_length_b 8.298
_cell_length_c 9.604
_cell_angle_alpha 125.17
_cell_angle_beta 125.17
_cell_angle_gamma 22.54
loop_
_atom_site_label
_atom_site_type_symbol
_atom_site_fract_x
_atom_site_fract_y
_atom_site_fract_z
Ca1 Ca 0.000 0.000 0.000
Sb1 Sb 0.055 0.055 0.391
Sb2 Sb 0.294 0.294 0.200
Sb3 Sb 0.576 0.576 0.768
Sb4 Sb 0.815 0.815 0.597
O1 O 0.165 0.165 0.820
O2 O 0.306 0.306 0.419
O3 O 0.374 0.374 0.780
O4 O 0.515 0.515 0.207
O5 O 0.533 0.533 0.526
O6 O 0.605 0.605 0.997
O7 O 0.893 0.893 0.260
O8 O 0.972 0.972 0.699
# formation energy = -24.87 eV/f.u.
# space-group type = No. 8
# total moment = 0.0 μB/f.u.


3.
# PBE CaSb2O4, optimized geometry
data_CaSb2O4
_space_group_name_H-M_alt 'P 1'
_space_group_IT_number 1
_space_group_name_Hall 'P 1'
_cell_length_a 6.846
_cell_length_b 6.846
_cell_length_c 6.846
_cell_angle_alpha 114.18
_cell_angle_beta 114.18
_cell_angle_gamma 100.42
loop_
_atom_site_label
_atom_site_type_symbol
_atom_site_fract_x
_atom_site_fract_y
_atom_site_fract_z
Ca1 Ca 0.000 0.000 0.000
Ca2 Ca 0.750 0.250 0.500
Sb1 Sb 0.315 0.556 0.197
Sb2 Sb 0.359 0.118 0.803
Sb3 Sb 0.444 0.641 0.759
Sb4 Sb 0.882 0.685 0.241
O1 O 0.048 0.294 0.865
O2 O 0.073 0.839 0.629
O3 O 0.161 0.790 0.234
O4 O 0.210 0.444 0.371
O5 O 0.430 0.184 0.135
O6 O 0.556 0.927 0.766
O7 O 0.706 0.570 0.754
O8 O 0.816 0.952 0.246
# formation energy = -15.23 eV/f.u.
# space-group type = No. 82
# total moment = 0.0 μB/f.u.


4.
# PBE CaSb2O4, optimized geometry
data_CaSb2O4
_space_group_name_H-M_alt 'P 1'
_space_group_IT_number 1
_space_group_name_Hall 'P 1'
_cell_length_a 6.982
_cell_length_b 6.982
_cell_length_c 6.982
_cell_angle_alpha 58.83
_cell_angle_beta 58.83
_cell_angle_gamma 58.83
loop_
_atom_site_label
_atom_site_type_symbol
_atom_site_fract_x
_atom_site_fract_y
_atom_site_fract_z
Ca1 Ca 0.000 0.000 0.000
Ca2 Ca 0.379 0.379 0.379
Sb1 Sb 0.377 0.377 0.885
Sb2 Sb 0.377 0.885 0.377
Sb3 Sb 0.753 0.753 0.753
Sb4 Sb 0.885 0.377 0.377
O1 O 0.133 0.625 0.625
O2 O 0.136 0.136 0.581
O3 O 0.136 0.581 0.136
O4 O 0.141 0.141 0.141
O5 O 0.581 0.136 0.136
O6 O 0.625 0.133 0.625
O7 O 0.625 0.625 0.133
O8 O 0.627 0.627 0.627
# formation energy = -13.97 eV/f.u.
# space-group type = No. 160
# total moment = 0.0 μB/f.u.


5.
# PBE CaSb2O4, optimized geometry
data_CaSb2O4
_space_group_name_H-M_alt 'P 1'
_space_group_IT_number 1
_space_group_name_Hall 'P 1'
_cell_length_a 6.805
_cell_length_b 6.805
_cell_length_c 6.805
_cell_angle_alpha 123.18
_cell_angle_beta 113.62
_cell_angle_gamma 92.98
loop_
_atom_site_label
_atom_site_type_symbol
_atom_site_fract_x
_atom_site_fract_y
_atom_site_fract_z
Ca1 Ca 0.000 0.000 0.000
Ca2 Ca 0.500 0.000 0.500
Sb1 Sb 0.000 0.000 0.500
Sb2 Sb 0.000 0.500 0.000
Sb3 Sb 0.392 0.642 0.750
Sb4 Sb 0.608 0.358 0.250
O1 O 0.219 0.250 0.969
O2 O 0.219 0.750 0.469
O3 O 0.252 0.254 0.502
O4 O 0.252 0.750 0.998
O5 O 0.748 0.250 0.002
O6 O 0.748 0.746 0.498
O7 O 0.781 0.250 0.531
O8 O 0.781 0.750 0.031
# formation energy = -14.18 eV/f.u.
# space-group type = No. 74
# total moment = 0.0 μB/f.u.


6.
# PBE CaSb2O6, optimized geometry
data_CaSb2O6
_space_group_name_H-M_alt 'P 1'
_space_group_IT_number 1
_space_group_name_Hall 'P 1'
_cell_length_a 5.316
_cell_length_b 5.316
_cell_length_c 5.113
_cell_angle_alpha 90.00
_cell_angle_beta 90.00
_cell_angle_gamma 120.00
loop_
_atom_site_label
_atom_site_type_symbol
_atom_site_fract_x
_atom_site_fract_y
_atom_site_fract_z
Ca1 Ca 0.000 0.000 0.000
Sb1 Sb 0.333 0.667 0.500
Sb2 Sb 0.667 0.333 0.500
O1 O 0.000 0.368 0.283
O2 O 0.000 0.632 0.717
O3 O 0.368 0.000 0.283
O4 O 0.368 0.368 0.717
O5 O 0.632 0.000 0.717
O6 O 0.632 0.632 0.283
# formation energy = -21.34 eV/f.u.
# space-group type = No. 162